## YNp3 (GGA-PBE)

Data for an optimized crystal structure of YNp3.

It has space group I4/mmm (No. 139), with a = 4.600 Å, b = 4.600 Å, c = 9.201 Å, α = 90.00°, β = 90.00° and γ = 90.00°. The inequivalent atoms are Y at (0.000, 0.000, 0.000), Np at (0.000, 0.000, 0.500) and Np at (0.000, 0.500, 0.250).

As for the total magnetization: 0.887 μB/atom. For the distance to the lowest polymorph of the same formula, the calculation gives 0.00 eV/f.u.